Entry 1:
This record from Materials Project describes crystalline Li3MnP2O8 at its relaxed geometry. The functional is PBE+U.

Computed properties:
The calculation puts the energy of formation at -2.60 eV/atom. The value obtained for the energy above the most stable polymorph in this dataset is 2 meV/atom.

Cell: 4.7273 5.0746 27.4519 Å, 92.02 85.07 117.74°
Atoms (fractional coordinates):
1 Li 0.6597 0.7505 0.4179
2 O 0.0452 0.3262 0.9579
3 P 0.3383 0.3751 0.6917
4 O 0.2255 0.3501 0.4297
5 O 0.2102 0.0110 0.2339
6 P 0.3484 0.1263 0.4416
7 O 0.4299 0.2353 0.0165
8 O 0.5704 0.7623 0.9838
9 Li 0.3415 0.2463 0.5820
10 P 0.3383 0.8752 0.1917
11 O 0.0451 0.8262 0.4579
12 O 0.3247 0.5746 0.2079
13 O 0.9554 0.1712 0.5423
14 Li 0.3249 0.9954 0.3318
15 Li 0.9846 0.3730 0.3750
16 O 0.9555 0.6713 0.0423
17 P 0.6617 0.1195 0.8082
18 Li 0.3415 0.7464 0.0820
19 O 0.3247 0.0745 0.7079
20 O 0.4298 0.7352 0.5165
21 O 0.6746 0.9199 0.2920
22 O 0.7761 0.6477 0.5705
23 P 0.3485 0.6264 0.9417
24 P 0.6616 0.6196 0.3082
25 O 0.4710 0.9362 0.6031
26 O 0.2102 0.5109 0.7339
27 O 0.5304 0.0611 0.3972
28 O 0.7892 0.4836 0.2660
29 Mn 0.0006 0.4991 0.5001
30 O 0.6746 0.4198 0.7920
31 O 0.6972 0.0983 0.1798
32 O 0.3030 0.3961 0.3203
33 Li 0.6756 0.0001 0.6684
34 Mn 0.9996 0.2472 0.2500
35 O 0.3030 0.8961 0.8203
36 P 0.6524 0.8711 0.5586
37 Li 0.3249 0.4954 0.8318
38 O 0.8647 0.6846 0.3526
39 Mn 0.0005 0.9991 0.0001
40 Li 0.0165 0.1233 0.1251
41 O 0.1360 0.3107 0.6472
42 O 0.8647 0.1847 0.8526
43 O 0.6973 0.5984 0.6798
44 Li 0.0165 0.6233 0.6251
45 O 0.2255 0.8502 0.9297
46 Li 0.6597 0.2506 0.9179
47 O 0.5703 0.2622 0.4838
48 O 0.7893 0.9836 0.7660
49 O 0.1360 0.8107 0.1472
50 O 0.5303 0.5611 0.8972
51 Li 0.9846 0.8730 0.8750
52 O 0.4710 0.4362 0.1031
53 Li 0.6756 0.5001 0.1684
54 O 0.7762 0.1477 0.0705
55 Mn 0.9996 0.7474 0.7500
56 P 0.6524 0.3711 0.0586

=====

Entry 2:
This record from Materials Project describes crystalline KNdW2O8 at its relaxed geometry. The functional is PBE+U.

Computed properties:
The calculation puts the energy of formation at -2.66 eV/atom.

Cell: 7.5304 7.5304 7.5989 Å, 113.73 113.73 92.77°
Atoms (fractional coordinates):
1 K 0.1890 0.1890 0.0266
2 K 0.8110 0.8110 0.9734
3 Nd 0.1989 0.8011 0.5000
4 Nd 0.8011 0.1989 0.5000
5 W 0.2960 0.2960 0.5567
6 W 0.3376 0.6624 0.0000
7 W 0.6624 0.3376 0.0000
8 W 0.7040 0.7040 0.4433
9 O 0.0739 0.0739 0.3923
10 O 0.1533 0.4064 0.7605
11 O 0.1904 0.7178 0.1460
12 O 0.2046 0.4596 0.4353
13 O 0.2822 0.8096 0.8540
14 O 0.4064 0.1533 0.7605
15 O 0.4596 0.2046 0.4353
16 O 0.4837 0.4837 0.1558
17 O 0.5163 0.5163 0.8442
18 O 0.5404 0.7954 0.5647
19 O 0.5936 0.8467 0.2395
20 O 0.7178 0.1904 0.1460
21 O 0.7954 0.5404 0.5647
22 O 0.8096 0.2822 0.8540
23 O 0.8467 0.5936 0.2395
24 O 0.9261 0.9261 0.6077